Entry 1:
Here is crystalline Sm3HoS4 at its relaxed geometry from Materials Project. Energies are from r2SCAN.

CIF file:
```
data_Sm3HoS4
_cell_length_a 3.9613
_cell_length_b 3.9613
_cell_length_c 39.1003
_cell_angle_alpha 90.00
_cell_angle_beta 90.00
_cell_angle_gamma 120.00
_symmetry_space_group_name_H-M 'R -3 m'
_symmetry_Int_Tables_number 166
_symmetry_space_group_name_Hall '-R 3 2"'
loop_
_atom_site_label
_atom_site_type_symbol
_atom_site_fract_x
_atom_site_fract_y
_atom_site_fract_z
Sm1 Sm 0.0000 0.0000 0.0000
Sm2 Sm 0.0000 0.0000 0.2490
Ho1 Ho 0.0000 0.0000 0.5000
S1 S 0.0000 0.0000 0.1277
S2 S 0.0000 0.0000 0.3755
```

Density in Mg/m³: 7.0
Energy of formation from the pure elements in meV per atom: -2277
E in eV per atom: -21.55


Entry 2:
Here is crystalline SrHo2S4 at its relaxed geometry from Materials Project. Energies are from r2SCAN.

CIF file:
```
data_SrHo2S4
_cell_length_a 12.0198
_cell_length_b 3.9670
_cell_length_c 14.2658
_cell_angle_alpha 90.00
_cell_angle_beta 90.00
_cell_angle_gamma 90.00
_symmetry_space_group_name_H-M 'P n m a'
_symmetry_Int_Tables_number 62
loop_
_symmetry_equiv_pos_as_xyz
'x,y,z'
'-x,-y,-z'
'-x+1/2,-y,z+1/2'
'x+1/2,y,-z+1/2'
'x+1/2,-y+1/2,-z+1/2'
'-x+1/2,y+1/2,z+1/2'
'-x,y+1/2,-z'
'x,-y+1/2,z'
loop_
_atom_site_label
_atom_site_type_symbol
_atom_site_fract_x
_atom_site_fract_y
_atom_site_fract_z
Sr1 Sr 0.2409 0.2500 0.1626
Ho1 Ho 0.0645 0.2500 0.3893
Ho2 Ho 0.0826 0.2500 0.8998
S1 S 0.0261 0.7500 0.7840
S2 S 0.0874 0.2500 0.5771
S3 S 0.1277 0.7500 0.0282
S4 S 0.2054 0.7500 0.3281
```

Density in Mg/m³: 5.3
Energy of formation from the pure elements in meV per atom: -2439
E in eV per atom: -18.59


Entry 3:
Here is crystalline Ho10Te7S10 at its relaxed geometry from Materials Project. Energies are from r2SCAN.

CIF file:
```
data_Ho10Te7S10
_cell_length_a 7.6074
_cell_length_b 9.6016
_cell_length_c 11.3617
_cell_angle_alpha 90.94
_cell_angle_beta 102.81
_cell_angle_gamma 111.48
_symmetry_space_group_name_H-M 'P 1'
_symmetry_Int_Tables_number 1
loop_
_symmetry_equiv_pos_as_xyz
'x,y,z'
loop_
_atom_site_label
_atom_site_type_symbol
_atom_site_fract_x
_atom_site_fract_y
_atom_site_fract_z
Ho1 Ho 0.0000 0.0000 0.0000
Ho2 Ho 0.0452 0.4204 0.8674
Ho3 Ho 0.2157 0.2149 0.6110
Ho4 Ho 0.2694 0.6097 0.4730
Ho5 Ho 0.3941 0.4147 0.2001
Ho6 Ho 0.4487 0.8094 0.0621
Ho7 Ho 0.6195 0.6038 0.8056
Ho8 Ho 0.6642 0.0244 0.6731
Ho9 Ho 0.7951 0.8151 0.4042
Ho10 Ho 0.8683 0.2092 0.2689
Te1 Te 0.0881 0.7678 0.8278
Te2 Te 0.2176 0.8975 0.5619
Te3 Te 0.4461 0.1268 0.1118
Te4 Te 0.5765 0.2566 0.8450
Te5 Te 0.6807 0.3597 0.6287
Te6 Te 0.8308 0.5118 0.3378
Te7 Te 0.9840 0.6644 0.0440
S1 S 0.0229 0.2780 0.0776
S2 S 0.0340 0.1477 0.7968
S3 S 0.2408 0.4878 0.6821
S4 S 0.2432 0.3334 0.3935
S5 S 0.4202 0.6911 0.2796
S6 S 0.4240 0.5365 0.9912
S7 S 0.6304 0.8764 0.8763
S8 S 0.6407 0.7463 0.5955
S9 S 0.8323 0.0918 0.4799
S10 S 0.8321 0.9325 0.1932
```

Density in Mg/m³: 6.4
Energy of formation from the pure elements in meV per atom: -1996
E in eV per atom: -23.74


Entry 4:
Here is crystalline Ho2ZnS4 at its relaxed geometry from Materials Project. Energies are from r2SCAN.

CIF file:
```
data_Ho2ZnS4
_cell_length_a 13.4360
_cell_length_b 7.8269
_cell_length_c 6.2867
_cell_angle_alpha 90.00
_cell_angle_beta 90.00
_cell_angle_gamma 90.00
_symmetry_space_group_name_H-M 'P n m a'
_symmetry_Int_Tables_number 62
loop_
_symmetry_equiv_pos_as_xyz
'x,y,z'
'-x,-y,-z'
'-x+1/2,-y,z+1/2'
'x+1/2,y,-z+1/2'
'x+1/2,-y+1/2,-z+1/2'
'-x+1/2,y+1/2,z+1/2'
'-x,y+1/2,-z'
'x,-y+1/2,z'
loop_
_atom_site_label
_atom_site_type_symbol
_atom_site_fract_x
_atom_site_fract_y
_atom_site_fract_z
Ho1 Ho 0.0000 0.0000 0.0000
Ho2 Ho 0.2338 0.2500 0.4956
Zn1 Zn 0.0923 0.7500 0.4118
S1 S 0.0693 0.2500 0.7417
S2 S 0.0903 0.7500 0.7748
S3 S 0.1681 0.5137 0.2447
```

Density in Mg/m³: 5.3
Energy of formation from the pure elements in meV per atom: -1964
E in eV per atom: -17.22


Entry 5:
Here is crystalline Ho5Sb3 at its relaxed geometry from Materials Project. Energies are from r2SCAN.

CIF file:
```
data_Ho5Sb3
_cell_length_a 8.9029
_cell_length_b 8.9029
_cell_length_c 6.2683
_cell_angle_alpha 90.00
_cell_angle_beta 90.00
_cell_angle_gamma 120.00
_symmetry_space_group_name_H-M 'P 63/m c m'
_symmetry_Int_Tables_number 193
_symmetry_space_group_name_Hall '-P 6c 2'
loop_
_atom_site_label
_atom_site_type_symbol
_atom_site_fract_x
_atom_site_fract_y
_atom_site_fract_z
Ho1 Ho 0.0000 0.2476 0.2500
Ho2 Ho 0.3333 0.6667 0.0000
Sb1 Sb 0.0000 0.3878 0.7500
```

Density in Mg/m³: 9.2
Energy of formation from the pure elements in meV per atom: -1039
E in eV per atom: -31.23


Entry 6:
Here is crystalline HoSb at its relaxed geometry from Materials Project. Energies are from r2SCAN.

CIF file:
```
data_HoSb
_cell_length_a 6.1618
_cell_length_b 6.1618
_cell_length_c 6.1618
_cell_angle_alpha 90.00
_cell_angle_beta 90.00
_cell_angle_gamma 90.00
_symmetry_space_group_name_H-M 'F m -3 m'
_symmetry_Int_Tables_number 225
_symmetry_space_group_name_Hall '-F 4 2 3'
loop_
_atom_site_label
_atom_site_type_symbol
_atom_site_fract_x
_atom_site_fract_y
_atom_site_fract_z
Ho1 Ho 0.0000 0.0000 0.0000
Sb1 Sb 0.0000 0.0000 0.5000
```

Density in Mg/m³: 8.1
Energy of formation from the pure elements in meV per atom: -1342
E in eV per atom: -30.64


Entry 7:
Here is crystalline Ho2Sb5 at its relaxed geometry from Materials Project. Energies are from r2SCAN.

CIF file:
```
data_Ho2Sb5
_cell_length_a 13.1357
_cell_length_b 4.2048
_cell_length_c 14.7129
_cell_angle_alpha 90.00
_cell_angle_beta 102.35
_cell_angle_gamma 90.00
_symmetry_space_group_name_H-M 'P 1 21/m 1'
_symmetry_Int_Tables_number 11
loop_
_symmetry_equiv_pos_as_xyz
'x,y,z'
'-x,-y,-z'
'-x,y+1/2,-z'
'x,-y+1/2,z'
loop_
_atom_site_label
_atom_site_type_symbol
_atom_site_fract_x
_atom_site_fract_y
_atom_site_fract_z
Ho1 Ho 0.0478 0.2500 0.3638
Ho2 Ho 0.3299 0.2500 0.5778
Ho3 Ho 0.3378 0.2500 0.8552
Ho4 Ho 0.3940 0.7500 0.2292
Sb1 Sb 0.0302 0.2500 0.1013
Sb2 Sb 0.1383 0.2500 0.6769
Sb3 Sb 0.1407 0.7500 0.2223
Sb4 Sb 0.1424 0.7500 0.5187
Sb5 Sb 0.1529 0.7500 0.8247
Sb6 Sb 0.2809 0.2500 0.0604
Sb7 Sb 0.2877 0.2500 0.3499
Sb8 Sb 0.4200 0.7500 0.0251
Sb9 Sb 0.4240 0.7500 0.4474
Sb10 Sb 0.4238 0.7500 0.7346
```

Density in Mg/m³: 7.9
Energy of formation from the pure elements in meV per atom: -729
E in eV per atom: -28.49


Entry 8:
Here is crystalline Ho5Si2Sb2 at its relaxed geometry from Materials Project. Energies are from r2SCAN.

CIF file:
```
data_Ho5Si2Sb2
_cell_length_a 14.9891
_cell_length_b 7.8032
_cell_length_c 7.8234
_cell_angle_alpha 90.00
_cell_angle_beta 90.00
_cell_angle_gamma 90.00
_symmetry_space_group_name_H-M 'C m c e'
_symmetry_Int_Tables_number 64
_symmetry_space_group_name_Hall '-C 2ac 2'
loop_
_atom_site_label
_atom_site_type_symbol
_atom_site_fract_x
_atom_site_fract_y
_atom_site_fract_z
Ho1 Ho 0.0000 0.0000 0.0000
Ho2 Ho 0.1255 0.1654 0.3346
Si1 Si 0.0000 0.1328 0.6315
Sb1 Sb 0.2052 0.0000 0.0000
```

Density in Mg/m³: 8.2
Energy of formation from the pure elements in meV per atom: -1051
E in eV per atom: -26.98


Entry 9:
Here is crystalline HoScZn2 at its relaxed geometry from Materials Project. Energies are from r2SCAN.

CIF file:
```
data_HoScZn2
_cell_length_a 6.8706
_cell_length_b 6.8706
_cell_length_c 6.8706
_cell_angle_alpha 90.00
_cell_angle_beta 90.00
_cell_angle_gamma 90.00
_symmetry_space_group_name_H-M 'F m -3 m'
_symmetry_Int_Tables_number 225
_symmetry_space_group_name_Hall '-F 4 2 3'
loop_
_atom_site_label
_atom_site_type_symbol
_atom_site_fract_x
_atom_site_fract_y
_atom_site_fract_z
Ho1 Ho 0.0000 0.0000 0.0000
Sc1 Sc 0.0000 0.0000 0.5000
Zn1 Zn 0.2500 0.2500 0.2500
```

Density in Mg/m³: 7.0
Energy of formation from the pure elements in meV per atom: -386
E in eV per atom: -15.91


Entry 10:
Here is crystalline HoSe at its relaxed geometry from Materials Project. Energies are from r2SCAN.

CIF file:
```
data_HoSe
_cell_length_a 5.7079
_cell_length_b 5.7079
_cell_length_c 5.7079
_cell_angle_alpha 90.00
_cell_angle_beta 90.00
_cell_angle_gamma 90.00
_symmetry_space_group_name_H-M 'F m -3 m'
_symmetry_Int_Tables_number 225
_symmetry_space_group_name_Hall '-F 4 2 3'
loop_
_atom_site_label
_atom_site_type_symbol
_atom_site_fract_x
_atom_site_fract_y
_atom_site_fract_z
Ho1 Ho 0.0000 0.0000 0.0000
Se1 Se 0.0000 0.0000 0.5000
```

Density in Mg/m³: 8.7
Energy of formation from the pure elements in meV per atom: -1961
E in eV per atom: -25.56